Record 1
Below is a relaxed Nd12Ni6Pb crystal, with properties calculated at the GGA-PBE level.

Results
Formation energy ... -523 kJ/mol of formula units
Final energy ... -5.3175 eV/atom
Volume ... 1032 Å³ per cell

a b c (Å): 10.1050 10.1050 10.1050
angles (deg): 90.00 90.00 90.00
Space group Im-3 (No. 204)
Symmetry-distinct sites (fractional):
Nd 0.0000 0.3077 0.1863 (multiplicity 24)
Ni 0.0000 0.1213 0.5000 (multiplicity 12)
Pb 0.0000 0.0000 0.0000 (multiplicity 2)

Record 2
Below is a relaxed NdNiRu crystal, with properties calculated at the GGA-PBE level.

Results
Formation energy ... -73 kJ/mol of formula units
Final energy ... -6.8615 eV/atom
Volume ... 214 Å³ per cell

a b c (Å): 5.1700 5.3206 7.7631
angles (deg): 90.00 90.00 90.00
Space group Imma (No. 74)
Symmetry-distinct sites (fractional):
Nd 0.0000 0.2500 0.1234 (multiplicity 4)
Ni 0.0000 0.0000 0.5000 (multiplicity 4)
Ru 0.2500 0.2500 0.7500 (multiplicity 4)

Record 3
Below is a relaxed Nd5Si10NiRu3 crystal, with properties calculated at the GGA-PBE level.

Results
Formation energy ... -1306 kJ/mol of formula units
Final energy ... -6.5914 eV/atom
Volume ... 723 Å³ per cell
Total moment ... 0.00 μB/f.u.

a b c (Å): 4.2956 4.0873 41.2296
angles (deg): 90.00 92.22 90.00
Space group Pm (No. 6)
Symmetry-distinct sites (fractional):
Nd 0.0000 0.0000 0.0000 (multiplicity 1)
Nd 0.0294 0.5000 0.0808 (multiplicity 1)
Nd 0.2070 0.0000 0.4019 (multiplicity 1)
Nd 0.2493 0.5000 0.4854 (multiplicity 1)
Nd 0.4063 0.0000 0.8006 (multiplicity 1)
Nd 0.4456 0.5000 0.8818 (multiplicity 1)
Nd 0.6244 0.0000 0.2031 (multiplicity 1)
Nd 0.6584 0.5000 0.2869 (multiplicity 1)
Nd 0.8070 0.0000 0.6016 (multiplicity 1)
Nd 0.8477 0.5000 0.6834 (multiplicity 1)
Si 0.0032 0.0000 0.1420 (multiplicity 1)
Si 0.1318 0.5000 0.2256 (multiplicity 1)
Si 0.1515 0.0000 0.2599 (multiplicity 1)
Si 0.1901 0.5000 0.3466 (multiplicity 1)
Si 0.2763 0.0000 0.5450 (multiplicity 1)
Si 0.3192 0.5000 0.6269 (multiplicity 1)
Si 0.3390 0.0000 0.6607 (multiplicity 1)
Si 0.3788 0.5000 0.7459 (multiplicity 1)
Si 0.4749 0.0000 0.9446 (multiplicity 1)
Si 0.5107 0.5000 0.0230 (multiplicity 1)
Si 0.5232 0.0000 0.0592 (multiplicity 1)
Si 0.6547 0.5000 0.1431 (multiplicity 1)
Si 0.6736 0.0000 0.3457 (multiplicity 1)
Si 0.7169 0.5000 0.4268 (multiplicity 1)
Si 0.7399 0.0000 0.4594 (multiplicity 1)
Si 0.7862 0.5000 0.5458 (multiplicity 1)
Si 0.8785 0.0000 0.7450 (multiplicity 1)
Si 0.9182 0.5000 0.8253 (multiplicity 1)
Si 0.9370 0.0000 0.8600 (multiplicity 1)
Si 0.9834 0.5000 0.9455 (multiplicity 1)
Ni 0.2961 0.5000 0.5720 (multiplicity 1)
Ni 0.6987 0.5000 0.3722 (multiplicity 1)
Ru 0.1625 0.0000 0.3172 (multiplicity 1)
Ru 0.1684 0.5000 0.1666 (multiplicity 1)
Ru 0.3671 0.0000 0.7186 (multiplicity 1)
Ru 0.4888 0.0000 0.1187 (multiplicity 1)
Ru 0.7639 0.0000 0.5165 (multiplicity 1)
Ru 0.9628 0.0000 0.9182 (multiplicity 1)

Record 4
Below is a relaxed NdNi2Sb2 crystal, with properties calculated at the GGA-PBE level.

Results
Formation energy ... -346 kJ/mol of formula units
Final energy ... -5.5581 eV/atom
Volume ... 202 Å³ per cell

a b c (Å): 4.4803 4.4803 10.0859
angles (deg): 90.00 90.00 90.00
Space group P4/nmm (No. 129, origin choice 2)
Symmetry-distinct sites (fractional):
Nd 0.2500 0.2500 0.2389 (multiplicity 2)
Ni 0.2500 0.2500 0.6251 (multiplicity 2)
Ni 0.2500 0.7500 0.0000 (multiplicity 2)
Sb 0.2500 0.2500 0.8742 (multiplicity 2)
Sb 0.2500 0.7500 0.5000 (multiplicity 2)

Record 5
Below is a relaxed NdNiSb2 crystal, with properties calculated at the GGA-PBE level.

Results
Formation energy ... -316 kJ/mol of formula units
Final energy ... -5.4231 eV/atom
Volume ... 190 Å³ per cell

a b c (Å): 4.4262 4.4262 9.7128
angles (deg): 90.00 90.00 90.00
Space group P4/nmm (No. 129, origin choice 2)
Symmetry-distinct sites (fractional):
Nd 0.2500 0.2500 0.2418 (multiplicity 2)
Ni 0.2500 0.7500 0.0000 (multiplicity 2)
Sb 0.2500 0.2500 0.8679 (multiplicity 2)
Sb 0.2500 0.7500 0.5000 (multiplicity 2)

Record 6
Below is a relaxed NdNi2Sb2 crystal, with properties calculated at the GGA-PBE level.

Results
Formation energy ... -321 kJ/mol of formula units
Final energy ... -5.5053 eV/atom
Volume ... 204 Å³ per cell
Total moment ... 0.00 μB/f.u.

a b c (Å): 4.3603 4.3603 10.7191
angles (deg): 90.00 90.00 90.00
Space group I4/mmm (No. 139)
Symmetry-distinct sites (fractional):
Nd 0.0000 0.0000 0.0000 (multiplicity 2)
Ni 0.0000 0.5000 0.2500 (multiplicity 4)
Sb 0.0000 0.0000 0.3642 (multiplicity 4)

Record 7
Below is a relaxed Nd6Si3Ni2 crystal, with properties calculated at the GGA-PBE level.

Results
Formation energy ... -508 kJ/mol of formula units
Final energy ... -5.6096 eV/atom
Volume ... 541 Å³ per cell
Total moment ... 0.23 μB/f.u.

a b c (Å): 11.7201 4.5068 11.7978
angles (deg): 90.00 119.73 90.00
Space group Pm (No. 6)
Symmetry-distinct sites (fractional):
Nd 0.0000 0.0000 0.0000 (multiplicity 1)
Nd 0.0055 0.5000 0.2324 (multiplicity 1)
Nd 0.0966 0.5000 0.6048 (multiplicity 1)
Nd 0.2339 0.5000 0.9952 (multiplicity 1)
Nd 0.2473 0.0000 0.4656 (multiplicity 1)
Nd 0.3735 0.0000 0.8494 (multiplicity 1)
Nd 0.4695 0.0000 0.2214 (multiplicity 1)
Nd 0.4743 0.5000 0.4560 (multiplicity 1)
Nd 0.6185 0.0000 0.7486 (multiplicity 1)
Nd 0.7140 0.0000 0.0921 (multiplicity 1)
Nd 0.7522 0.5000 0.3685 (multiplicity 1)
Nd 0.8593 0.5000 0.7159 (multiplicity 1)
Si 0.0849 0.0000 0.7877 (multiplicity 1)
Si 0.3899 0.5000 0.6703 (multiplicity 1)
Si 0.5747 0.5000 0.9023 (multiplicity 1)
Si 0.6786 0.0000 0.5190 (multiplicity 1)
Si 0.9041 0.0000 0.5640 (multiplicity 1)
Si 0.9512 0.0000 0.3848 (multiplicity 1)
Ni 0.2372 0.2490 0.2280 (multiplicity 2)
Ni 0.5266 0.5000 0.0808 (multiplicity 1)
Ni 0.7998 0.5000 0.9478 (multiplicity 1)

Record 8
Below is a relaxed NdSi2Ni9 crystal, with properties calculated at the GGA-PBE level.

Results
Formation energy ... -539 kJ/mol of formula units
Final energy ... -6.1023 eV/atom
Volume ... 595 Å³ per cell

a b c (Å): 9.8021 9.8021 6.1930
angles (deg): 90.00 90.00 90.00
Space group I4_1/amd (No. 141, origin choice 2)
Symmetry-distinct sites (fractional):
Nd 0.0000 0.2500 0.3750 (multiplicity 4)
Si 0.0000 0.0000 0.0000 (multiplicity 8)
Ni 0.0000 0.2500 0.8750 (multiplicity 4)
Ni 0.1244 0.0462 0.6880 (multiplicity 32)

Record 9
Below is a relaxed Nd6Si4Ni7 crystal, with properties calculated at the GGA-PBE level.

Results
Formation energy ... -1006 kJ/mol of formula units
Final energy ... -5.9528 eV/atom
Volume ... 1340 Å³ per cell
Total moment ... 0.05 μB/f.u.

a b c (Å): 5.9454 7.5171 29.9899
angles (deg): 90.00 90.00 90.00
Space group Pbcm (No. 57)
Symmetry-distinct sites (fractional):
Nd 0.1065 0.1112 0.1817 (multiplicity 8)
Nd 0.1227 0.7500 0.0000 (multiplicity 4)
Nd 0.3732 0.0202 0.7500 (multiplicity 4)
Nd 0.3866 0.1172 0.0793 (multiplicity 8)
Si 0.1079 0.0370 0.5825 (multiplicity 8)
Si 0.3888 0.7308 0.6731 (multiplicity 8)
Ni 0.1467 0.7428 0.6098 (multiplicity 8)
Ni 0.1853 0.6756 0.7500 (multiplicity 4)
Ni 0.3408 0.0297 0.6481 (multiplicity 8)
Ni 0.3507 0.0943 0.5184 (multiplicity 8)

Record 10
Below is a relaxed Nd3Si2Ni6 crystal, with properties calculated at the GGA-PBE level.

Results
Formation energy ... -571 kJ/mol of formula units
Final energy ... -5.9777 eV/atom
Volume ... 711 Å³ per cell
Total moment ... 0.00 μB/f.u.

a b c (Å): 8.9245 8.9245 8.9245
angles (deg): 90.00 90.00 90.00
Space group Im-3m (No. 229)
Symmetry-distinct sites (fractional):
Nd 0.0000 0.0000 0.2845 (multiplicity 12)
Si 0.2500 0.2500 0.2500 (multiplicity 8)
Ni 0.0000 0.3307 0.3307 (multiplicity 24)

Record 11
Below is a relaxed Nd2Si5Ni3 crystal, with properties calculated at the GGA-PBE level.

Results
Formation energy ... -743 kJ/mol of formula units
Final energy ... -6.1699 eV/atom
Volume ... 640 Å³ per cell
Total moment ... 0.00 μB/f.u.

a b c (Å): 9.6791 11.4587 5.7727
angles (deg): 90.00 90.00 90.00
Space group Ibam (No. 72)
Symmetry-distinct sites (fractional):
Nd 0.2358 0.1315 0.0000 (multiplicity 8)
Si 0.0000 0.0000 0.2500 (multiplicity 4)
Si 0.0000 0.2687 0.2500 (multiplicity 8)
Si 0.1512 0.3926 0.0000 (multiplicity 8)
Ni 0.0000 0.5000 0.2500 (multiplicity 4)
Ni 0.1093 0.1349 0.5000 (multiplicity 8)

Record 12
Below is a relaxed Nd6Ni2Sn crystal, with properties calculated at the GGA-PBE level.

Results
Formation energy ... -272 kJ/mol of formula units
Final energy ... -5.2215 eV/atom
Volume ... 1029 Å³ per cell
Total moment ... 0.01 μB/f.u.

a b c (Å): 9.6078 10.2258 10.4689
angles (deg): 90.00 90.00 90.00
Space group Immm (No. 71)
Symmetry-distinct sites (fractional):
Nd 0.0000 0.2030 0.2327 (multiplicity 8)
Nd 0.1923 0.5000 0.1784 (multiplicity 8)
Nd 0.2118 0.3159 0.5000 (multiplicity 8)
Ni 0.0000 0.3652 0.0000 (multiplicity 4)
Ni 0.0000 0.5000 0.3836 (multiplicity 4)
Sn 0.0000 0.0000 0.0000 (multiplicity 2)
Sn 0.0000 0.0000 0.5000 (multiplicity 2)

Record 13
Below is a relaxed Nd3Ni2Sn7 crystal, with properties calculated at the GGA-PBE level.

Results
Formation energy ... -677 kJ/mol of formula units
Final energy ... -5.0789 eV/atom
Volume ... 595 Å³ per cell
Total moment ... 0.00 μB/f.u.

a b c (Å): 4.6873 27.4787 4.6174
angles (deg): 90.00 90.00 90.00
Space group Cmmm (No. 65)
Symmetry-distinct sites (fractional):
Nd 0.0000 0.0000 0.0000 (multiplicity 2)
Nd 0.0000 0.3149 0.5000 (multiplicity 4)
Ni 0.0000 0.1285 0.0000 (multiplicity 4)
Sn 0.0000 0.0894 0.5000 (multiplicity 4)
Sn 0.0000 0.2193 0.0000 (multiplicity 4)
Sn 0.0000 0.4103 0.0000 (multiplicity 4)
Sn 0.0000 0.5000 0.5000 (multiplicity 2)

Record 14
Below is a relaxed NdNiSn crystal, with properties calculated at the GGA-PBE level.

Results
Formation energy ... -181 kJ/mol of formula units
Final energy ... -5.4771 eV/atom
Volume ... 264 Å³ per cell

a b c (Å): 7.4509 4.6015 7.7002
angles (deg): 90.00 90.00 90.00
Space group Pnma (No. 62)
Symmetry-distinct sites (fractional):
Nd 0.0168 0.2500 0.2002 (multiplicity 4)
Ni 0.1931 0.7500 0.4162 (multiplicity 4)
Sn 0.1866 0.2500 0.5880 (multiplicity 4)

Record 15
Below is a relaxed Nd3Np crystal, with properties calculated at the GGA-PBE level.

Results
Formation energy ... 154 kJ/mol of formula units
Final energy ... -6.4132 eV/atom
Volume ... 278 Å³ per cell
Total moment ... 5.17 μB/f.u.

a b c (Å): 7.3479 7.3479 5.9501
angles (deg): 90.00 90.00 120.00
Space group P6_3/mmc (No. 194)
Symmetry-distinct sites (fractional):
Nd 0.1693 0.3387 0.2500 (multiplicity 6)
Np 0.3333 0.6667 0.7500 (multiplicity 2)

Record 16
Below is a relaxed NdNpO3 crystal, with properties calculated at the GGA-PBE level.

Results
Formation energy ... -1194 kJ/mol of formula units
Final energy ... -8.5740 eV/atom
Volume ... 91 Å³ per cell
Total moment ... 3.98 μB/f.u.

a b c (Å): 4.4952 4.4952 4.4952
angles (deg): 90.00 90.00 90.00
Space group Pm-3m (No. 221)
Symmetry-distinct sites (fractional):
Nd 0.0000 0.0000 0.0000 (multiplicity 1)
Np 0.5000 0.5000 0.5000 (multiplicity 1)
O 0.0000 0.0000 0.5000 (multiplicity 3)